## Na5Cu3O6 (PBE)

Data for crystalline Na5Cu3O6 at its relaxed geometry.

## Properties
Its space group is No. 14. The value obtained for the energy of formation from the pure elements is -132.25 kJ/mol of atoms.

a b c (Å): 5.7077 8.2120 17.0132
angles (deg): 90.00 90.00 107.88
Closest atoms and distances in Å follow each position.
Element x y z (fractional)
Na1 0.2641 0.3805 0.4534  5 O 2.36-2.50
Na2 0.2748 0.4096 0.2700  4 O 2.30-2.54
Na3 0.7641 0.8805 0.0466  5 O 2.36-2.50
Na4 0.7252 0.5904 0.7300  4 O 2.30-2.54
Na5 0.7150 0.5527 0.9475  4 O 2.35-2.51
Na6 0.2359 0.1195 0.9534  5 O 2.36-2.50
Na7 0.7203 0.5877 0.1781  3 O 2.31-2.36
Na8 0.2850 0.4473 0.0525  4 O 2.35-2.51
Na9 0.2150 0.0527 0.5525  4 O 2.35-2.51
Na10 0.2657 0.3803 0.6313  5 O 2.35-2.60
Na11 0.2797 0.4123 0.8219  3 O 2.31-2.36
Na12 0.2203 0.0877 0.3219  3 O 2.31-2.36
Na13 0.2252 0.0904 0.7700  4 O 2.30-2.54
Na14 0.7748 0.9096 0.2300  4 O 2.30-2.54
Na15 0.7343 0.6197 0.3687  5 O 2.35-2.60
Na16 0.2343 0.1197 0.1313  5 O 2.35-2.60
Na17 0.7657 0.8803 0.8687  5 O 2.35-2.60
Na18 0.7359 0.6195 0.5466  5 O 2.36-2.50
Na19 0.7850 0.9473 0.4475  4 O 2.35-2.51
Na20 0.7797 0.9123 0.6781  3 O 2.31-2.36
O1 0.4398 0.7007 0.7951  2 Cu 1.89-1.95
O2 0.9340 0.2107 0.3737  2 Cu 1.89-1.96
O3 0.4248 0.7000 0.9621  2 Cu 1.93-1.95
O4 0.4340 0.7107 0.1263  2 Cu 1.89-1.96
O5 0.5602 0.2993 0.2049  2 Cu 1.89-1.95
O6 0.4486 0.6989 0.2879  2 Cu 1.91-1.95
O7 0.5505 0.3199 0.3674  2 Cu 1.90-1.96
O8 0.9398 0.2007 0.7049  2 Cu 1.89-1.95
O9 0.0752 0.8000 0.4621  2 Cu 1.93-1.95
O10 0.0660 0.7893 0.6263  2 Cu 1.89-1.96
O11 0.5514 0.3011 0.7121  2 Cu 1.91-1.95
O12 0.0514 0.8011 0.7879  2 Cu 1.91-1.95
O13 0.0602 0.7993 0.2951  2 Cu 1.89-1.95
O14 0.0505 0.8199 0.1326  2 Cu 1.90-1.96
O15 0.4495 0.6801 0.6326  2 Cu 1.90-1.96
O16 0.9486 0.1989 0.2121  2 Cu 1.91-1.95
O17 0.0394 0.8133 0.9584  2 Cu 1.93
O18 0.5752 0.3000 0.0379  2 Cu 1.93-1.95
O19 0.9495 0.1801 0.8674  2 Cu 1.90-1.96
O20 0.4606 0.6867 0.4584  2 Cu 1.93
O21 0.5660 0.2893 0.8737  2 Cu 1.89-1.96
O22 0.5394 0.3133 0.5416  2 Cu 1.93
O23 0.9606 0.1867 0.0416  2 Cu 1.93
O24 0.9248 0.2000 0.5379  2 Cu 1.93-1.95
Cu1 0.7477 0.2574 0.2899  4 O 1.89-1.91
Cu2 0.2653 0.7476 0.3772  4 O 1.93-1.95
Cu3 0.7325 0.2665 0.4562  4 O 1.93-1.96
Cu4 0.2523 0.7426 0.7101  4 O 1.89-1.91
Cu5 0.2675 0.7335 0.5438  4 O 1.93-1.96
Cu6 0.7523 0.2426 0.7899  4 O 1.89-1.91
Cu7 0.2477 0.7574 0.2101  4 O 1.89-1.91
Cu8 0.2325 0.7665 0.0438  4 O 1.93-1.96
Cu9 0.7675 0.2335 0.9562  4 O 1.93-1.96
Cu10 0.7653 0.2476 0.1228  4 O 1.93-1.95
Cu11 0.2347 0.7524 0.8772  4 O 1.93-1.95
Cu12 0.7347 0.2524 0.6228  4 O 1.93-1.95